Record 1
This record from the Materials Project database describes a relaxed Er2CdHg crystal. The functional is r2SCAN.

The structure in POSCAR format:
```
Er2CdHg
1.0
0.000 3.667 3.667
3.667 0.000 3.667
3.667 3.667 0.000
Hg Er Cd
1 2 1
Direct
0.000 0.000 0.000
0.250 0.250 0.250
0.750 0.750 0.750
0.500 0.500 0.500
```

Output
Crystal system: cubic
Calculated volume in A^3/atom: 24.6
Calculated density in g/cm3: 10.91
Total DFT energy (no corrections) in eV for the cell shown: -139.18
Formation energy from the elements in meV/atom: -463
Space-group type: Fm-3m, No. 225

Record 2
This record from the Materials Project database describes a relaxed Cs3Cr20Se32 crystal. The functional is r2SCAN.

The structure in POSCAR format:
```
Cs3Cr20Se32
1.0
3.970 9.719 3.203
6.255 -9.458 2.639
2.878 4.245 -10.605
Se Cr Cs
32 20 3
Direct
0.093 0.250 0.241
0.404 0.249 0.258
0.930 0.606 0.274
0.734 0.383 0.729
0.818 0.141 0.474
0.095 0.118 0.775
0.433 0.111 0.776
0.844 0.999 0.990
0.983 0.633 0.980
0.679 0.357 0.022
0.655 0.498 0.508
0.345 0.502 0.492
0.321 0.643 0.978
0.070 0.394 0.726
0.845 0.868 0.525
0.567 0.889 0.224
0.907 0.750 0.759
0.767 0.117 0.770
0.595 0.616 0.275
0.596 0.751 0.742
0.182 0.859 0.526
0.905 0.882 0.225
0.155 0.132 0.475
0.656 0.634 0.976
0.483 0.133 0.480
0.017 0.367 0.020
0.344 0.366 0.024
0.517 0.867 0.520
0.233 0.883 0.230
0.156 0.001 0.010
0.405 0.384 0.725
0.266 0.617 0.271
0.707 0.889 0.370
0.042 0.859 0.379
0.162 0.071 0.236
0.791 0.609 0.127
0.458 0.638 0.122
0.625 0.125 0.625
0.663 0.572 0.735
0.411 0.321 0.485
0.913 0.822 0.986
0.542 0.362 0.878
0.375 0.875 0.375
0.337 0.428 0.265
0.293 0.111 0.630
0.209 0.391 0.873
0.875 0.375 0.875
0.087 0.178 0.014
0.838 0.929 0.764
0.125 0.625 0.125
0.958 0.141 0.621
0.589 0.679 0.515
0.000 0.500 0.500
0.728 0.228 0.228
0.272 0.772 0.772
```

Output
Crystal system: triclinic
Calculated volume in A^3/atom: 22.6
Calculated density in g/cm3: 5.29
Total DFT energy (no corrections) in eV for the cell shown: -885.77
Formation energy from the elements in meV/atom: -927
Space-group type: P-1, No. 2